[1]
This record from Materials Project describes crystalline MnO2 at its relaxed geometry. The functional is GGA+U.

a b c (Å): 10.3141 10.3141 10.3141
angles (deg): 16.31 16.31 16.31
Fractional positions:
1 Mn 0.0000 0.0000 0.0000
2 Mn 0.5000 0.5000 0.5000
3 O 0.1352 0.1352 0.1352
4 O 0.3019 0.3019 0.3019
5 O 0.6981 0.6981 0.6981
6 O 0.8648 0.8648 0.8648

Summary:
VASP energy = -21.39 eV/f.u.
Symmetry = R-3m (166)
Energy relative to the elements = -1.7923 eV per atom
Volume = 12.6 A^3/atom

---

[2]
This record from Materials Project describes crystalline LiFe2OF3 at its relaxed geometry. The functional is GGA+U.

a b c (Å): 5.9425 5.9425 6.0872
angles (deg): 116.54 116.54 64.72
Fractional positions:
1 Li 0.0000 0.0000 0.0000
2 Li 0.0000 0.0000 0.5000
3 Fe 0.0000 0.5000 0.0000
4 Fe 0.3942 0.3942 0.5589
5 Fe 0.5000 0.0000 0.0000
6 Fe 0.6058 0.6058 0.4411
7 O 0.2443 0.2443 0.1945
8 O 0.7557 0.7557 0.8055
9 F 0.2214 0.7676 0.7428
10 F 0.2324 0.7786 0.2572
11 F 0.2517 0.2517 0.7383
12 F 0.7483 0.7483 0.2617
13 F 0.7676 0.2214 0.7428
14 F 0.7786 0.2324 0.2572

Summary:
VASP energy = -38.64 eV/f.u.
Symmetry = C2/m (12)
Energy relative to the elements = -2.2410 eV per atom
Volume = 11.8 A^3/atom
Energy above the lowest structure with this stoichiometry = 0.162 eV per atom

---

[3]
This record from Materials Project describes crystalline Li4Ni5O10 at its relaxed geometry. The functional is GGA+U.

a b c (Å): 4.9880 5.6907 7.6109
angles (deg): 93.37 106.32 115.75
Fractional positions:
1 Li 0.2063 0.4424 0.1582
2 Li 0.2194 0.5630 0.6535
3 Li 0.7806 0.4370 0.3465
4 Li 0.7937 0.5576 0.8418
5 Ni 0.1034 0.0047 0.7012
6 Ni 0.3000 0.0014 0.0974
7 Ni 0.5000 0.0000 0.5000
8 Ni 0.7000 0.9986 0.9026
9 Ni 0.8966 0.9953 0.2988
10 O 0.0712 0.7975 0.4820
11 O 0.1392 0.1942 0.9288
12 O 0.2575 0.7907 0.8770
13 O 0.3324 0.2094 0.3123
14 O 0.4537 0.8119 0.2692
15 O 0.5463 0.1881 0.7308
16 O 0.6676 0.7906 0.6877
17 O 0.7425 0.2093 0.1230
18 O 0.8608 0.8058 0.0712
19 O 0.9288 0.2025 0.5180

Summary:
VASP energy = -91.73 eV/f.u.
Symmetry = P-1 (2)
Energy relative to the elements = -1.3313 eV per atom
Volume = 9.6 A^3/atom
Energy above the lowest structure with this stoichiometry = 0.051 eV per atom

---

[4]
This record from Materials Project describes crystalline Na2NiPCO7 at its relaxed geometry. The functional is GGA+U.

a b c (Å): 6.6308 8.8655 10.3364
angles (deg): 92.21 90.31 90.45
Fractional positions:
1 Na 0.0000 0.0000 0.0000
2 Na 0.0088 0.0132 0.4965
3 Na 0.0278 0.5271 0.7432
4 Na 0.0440 0.5227 0.2611
5 Na 0.2800 0.3520 0.9894
6 Na 0.5027 0.5279 0.7390
7 Na 0.5260 0.0154 0.4979
8 Na 0.5346 0.9995 0.9991
9 Ni 0.2656 0.9183 0.7650
10 Ni 0.2685 0.9140 0.2636
11 Ni 0.7606 0.6109 0.4802
12 Ni 0.7631 0.6102 0.9865
13 P 0.2652 0.6858 0.0152
14 P 0.2664 0.6857 0.5171
15 P 0.7660 0.8421 0.7336
16 P 0.7670 0.8390 0.2365
17 C 0.2646 0.1885 0.2303
18 C 0.2668 0.1956 0.7363
19 C 0.7683 0.3368 0.0180
20 C 0.7688 0.3382 0.5154
21 O 0.0789 0.5885 0.4820
22 O 0.0809 0.5834 0.9791
23 O 0.2543 0.3270 0.2142
24 O 0.2586 0.7234 0.1634
25 O 0.2609 0.7233 0.6674
26 O 0.2638 0.8363 0.9456
27 O 0.2646 0.3378 0.7315
28 O 0.2670 0.1026 0.6371
29 O 0.2689 0.1279 0.3424
30 O 0.2691 0.1325 0.8487
31 O 0.2689 0.8365 0.4473
32 O 0.2707 0.0902 0.1327
33 O 0.4502 0.5890 0.9775
34 O 0.4530 0.5883 0.4914
35 O 0.5796 0.9377 0.7696
36 O 0.5808 0.9347 0.2715
37 O 0.7589 0.3974 0.9049
38 O 0.7660 0.4398 0.6103
39 O 0.7662 0.8032 0.0866
40 O 0.7657 0.8059 0.5840
41 O 0.7666 0.6912 0.8040
42 O 0.7689 0.3957 0.4029
43 O 0.7695 0.1965 0.0298
44 O 0.7706 0.1995 0.5329
45 O 0.7742 0.6890 0.3056
46 O 0.7745 0.4352 0.1133
47 O 0.9531 0.9400 0.7696
48 O 0.9537 0.9395 0.2687

Summary:
VASP energy = -74.98 eV/f.u.
Symmetry = P1 (1)
Energy relative to the elements = -2.0520 eV per atom
Volume = 12.6 A^3/atom
Energy above the lowest structure with this stoichiometry = 0.036 eV per atom

---

[5]
This record from Materials Project describes crystalline LiMn12O24 at its relaxed geometry. The functional is GGA+U.

a b c (Å): 8.2808 8.2787 13.1027
angles (deg): 90.00 108.32 90.00
Fractional positions:
1 Li 0.0000 0.1252 0.2500
2 Li 0.0000 0.8748 0.7500
3 Mn 0.0000 0.0000 0.0000
4 Mn 0.0000 0.0000 0.5000
5 Mn 0.0839 0.2512 0.6669
6 Mn 0.0839 0.7488 0.1669
7 Mn 0.1672 0.4990 0.8337
8 Mn 0.1672 0.5010 0.3337
9 Mn 0.2507 0.2500 0.5012
10 Mn 0.2507 0.7500 0.0012
11 Mn 0.3347 0.9997 0.1669
12 Mn 0.3347 0.0003 0.6669
13 Mn 0.4178 0.2504 0.3337
14 Mn 0.4178 0.7496 0.8337
15 Mn 0.5000 0.5000 0.0000
16 Mn 0.5000 0.5000 0.5000
17 Mn 0.5822 0.2504 0.1663
18 Mn 0.5822 0.7496 0.6663
19 Mn 0.6653 0.9997 0.3331
20 Mn 0.6653 0.0003 0.8331
21 Mn 0.7493 0.2500 0.9988
22 Mn 0.7493 0.7500 0.4988
23 Mn 0.8328 0.4990 0.6663
24 Mn 0.8328 0.5010 0.1663
25 Mn 0.9161 0.2512 0.8331
26 Mn 0.9161 0.7488 0.3331
27 O 0.0214 0.2353 0.5108
28 O 0.0214 0.7647 0.0108
29 O 0.0731 0.4855 0.6769
30 O 0.0731 0.5145 0.1769
31 O 0.0942 0.0141 0.6603
32 O 0.0942 0.9859 0.1603
33 O 0.1463 0.2650 0.8231
34 O 0.1463 0.7350 0.3231
35 O 0.1846 0.2631 0.3423
36 O 0.1846 0.7369 0.8423
37 O 0.2406 0.0158 0.5108
38 O 0.2406 0.9842 0.0108
39 O 0.2603 0.4847 0.4897
40 O 0.2603 0.5153 0.9897
41 O 0.3134 0.2352 0.6566
42 O 0.3134 0.7648 0.1566
43 O 0.3536 0.2350 0.1770
44 O 0.3536 0.7650 0.6770
45 O 0.4064 0.4847 0.3436
46 O 0.4064 0.5153 0.8436
47 O 0.4262 0.0153 0.3232
48 O 0.4262 0.9847 0.8232
49 O 0.4795 0.2653 0.4896
50 O 0.4795 0.7347 0.9896
51 O 0.5205 0.2653 0.0104
52 O 0.5205 0.7347 0.5104
53 O 0.5738 0.0153 0.1768
54 O 0.5738 0.9847 0.6768
55 O 0.5936 0.4847 0.1564
56 O 0.5936 0.5153 0.6564
57 O 0.6464 0.2350 0.3230
58 O 0.6464 0.7650 0.8230
59 O 0.6866 0.2352 0.8434
60 O 0.6866 0.7648 0.3434
61 O 0.7397 0.4847 0.0103
62 O 0.7397 0.5153 0.5103
63 O 0.7594 0.0158 0.9892
64 O 0.7594 0.9842 0.4892
65 O 0.8154 0.2631 0.1577
66 O 0.8154 0.7369 0.6577
67 O 0.8537 0.2650 0.6769
68 O 0.8537 0.7350 0.1769
69 O 0.9058 0.0141 0.8397
70 O 0.9058 0.9859 0.3397
71 O 0.9269 0.4855 0.8231
72 O 0.9269 0.5145 0.3231
73 O 0.9786 0.2353 0.9892
74 O 0.9786 0.7647 0.4892

Summary:
VASP energy = -261.46 eV/f.u.
Symmetry = P2/c (13)
Energy relative to the elements = -1.8205 eV per atom
Volume = 11.5 A^3/atom

---

[6]
This record from Materials Project describes crystalline Li4Y3VO8 at its relaxed geometry. The functional is GGA+U.

a b c (Å): 5.8791 8.5080 8.6092
angles (deg): 93.20 107.03 108.39
Fractional positions:
1 Li 0.0000 0.0000 0.0000
2 Li 0.0009 0.4999 0.4998
3 Li 0.4696 0.1330 0.8906
4 Li 0.4732 0.6325 0.3898
5 Li 0.4950 0.5009 0.0035
6 Li 0.4968 0.0001 0.5029
7 Li 0.9782 0.1424 0.3914
8 Li 0.9816 0.6405 0.8894
9 Y 0.4898 0.2543 0.2579
10 Y 0.4910 0.7543 0.7576
11 Y 0.4965 0.8737 0.1338
12 Y 0.4968 0.3734 0.6340
13 Y 0.9943 0.3795 0.1248
14 Y 0.9953 0.8792 0.6245
15 V 0.9901 0.2534 0.7567
16 V 0.9903 0.7539 0.2561
17 O 0.1973 0.6494 0.1500
18 O 0.1976 0.1497 0.6513
19 O 0.2266 0.2615 0.0078
20 O 0.2272 0.7617 0.5072
21 O 0.2530 0.4820 0.7526
22 O 0.2530 0.9819 0.2524
23 O 0.2622 0.3694 0.3716
24 O 0.2632 0.8692 0.8711
25 O 0.7150 0.1422 0.1455
26 O 0.7164 0.6418 0.6456
27 O 0.7327 0.2567 0.5185
28 O 0.7327 0.7573 0.0190
29 O 0.7708 0.5063 0.2461
30 O 0.7716 0.0059 0.7457
31 O 0.7805 0.8569 0.3609
32 O 0.7812 0.3566 0.8607

Summary:
VASP energy = -116.90 eV/f.u.
Symmetry = P1 (1)
Energy relative to the elements = -3.0243 eV per atom
Volume = 12.0 A^3/atom